# 1
Entry from Materials Project: a geometry-optimized LiGaI3 structure (PBE-GGA).

## Properties
Energy = -53.62 eV for the cell shown
Crystal system = monoclinic
Calculated formation energy = -1007 meV per atom
Total energy after the MP2020 corrections = -2.91 eV per atom

a = 7.285 Å, b = 11.577 Å, c = 8.616 Å
α = 90.00°, β = 92.23°, γ = 90.00°
Space group P2_1/m (No. 11)
Unique sites:
Li (0.000, 0.000, 0.000) (multiplicity 2)
Li (0.500, 0.000, 0.500) (multiplicity 2)
Ga (0.034, 0.250, 0.530) (multiplicity 2)
Ga (0.133, 0.250, 0.259) (multiplicity 2)
I (0.137, 0.750, 0.954) (multiplicity 2)
I (0.178, 0.070, 0.684) (multiplicity 4)
I (0.325, 0.750, 0.434) (multiplicity 2)
I (0.335, 0.070, 0.183) (multiplicity 4)

# 2
Entry from Materials Project: a geometry-optimized SrIr2 structure (PBE-GGA).

## Properties
Energy = -161.59 eV for the cell shown
Crystal system = cubic
Calculated formation energy = -277 meV per atom

a = 7.759 Å, b = 7.759 Å, c = 7.759 Å
α = 90.00°, β = 90.00°, γ = 90.00°
Space group Fd-3m (No. 227, origin choice 2)
Unique sites:
Sr (0.125, 0.125, 0.125) (multiplicity 8)
Ir (0.000, 0.000, 0.500) (multiplicity 16)

# 3
Entry from Materials Project: a geometry-optimized Hf3Sc structure (PBE-GGA).

## Properties
Energy = -72.44 eV for the cell shown
Crystal system = hexagonal
Calculated formation energy = -4 meV per atom

a = 6.4317 Å, b = 6.4317 Å, c = 5.0743 Å
α = 90.00°, β = 90.00°, γ = 120.00°
Space group P6_3/mmc (No. 194)
Unique sites:
Hf (0.1670, 0.3339, 0.2500) (multiplicity 6)
Sc (0.3333, 0.6667, 0.7500) (multiplicity 2)

# 4
Entry from Materials Project: a geometry-optimized Na4Sn2C4SO16 structure (PBE-GGA).

## Properties
Energy = -1390.74 eV for the cell shown
Relative energy among the computed polymorphs = 0.66 kcal/mol of atoms
Crystal system = orthorhombic
Calculated formation energy = -1900 meV per atom
Total energy after the MP2020 corrections = -6.85 eV per atom
Total magnetic moment = 0.01 μB/cell

a = 13.932 Å, b = 14.207 Å, c = 14.960 Å
α = 90.00°, β = 90.00°, γ = 90.00°
Space group Fddd (No. 70, origin choice 2)
Unique sites:
Na (0.078, 0.375, 0.375) (multiplicity 16)
Na (0.125, 0.327, 0.125) (multiplicity 16)
Sn (0.000, 0.000, 0.500) (multiplicity 16)
C (0.022, 0.027, 0.714) (multiplicity 32)
S (0.125, 0.125, 0.125) (multiplicity 8)
O (0.012, 0.092, 0.774) (multiplicity 32)
O (0.036, 0.273, 0.896) (multiplicity 32)
O (0.062, 0.063, 0.069) (multiplicity 32)
O (0.091, 0.285, 0.528) (multiplicity 32)

# 5
Entry from Materials Project: a geometry-optimized SmGe2 structure (PBE-GGA).

## Properties
Energy = -62.85 eV for the cell shown
Crystal system = tetragonal
Calculated formation energy = -583 meV per atom
Total magnetic moment = 0.00 μB/cell

a = 4.089 Å, b = 4.089 Å, c = 16.399 Å
α = 90.00°, β = 90.00°, γ = 90.00°
Space group I4_1/amd (No. 141, origin choice 2)
Unique sites:
Sm (0.000, 0.250, 0.375) (multiplicity 4)
Ge (0.000, 0.250, 0.796) (multiplicity 8)

# 6
Entry from Materials Project: a geometry-optimized RbP structure (PBE-GGA).

## Properties
Energy = -15.42 eV for the cell shown
Crystal system = trigonal
Calculated formation energy = 628 meV per atom
Total magnetic moment = 6.00 μB/cell

a = 4.8878 Å, b = 4.8878 Å, c = 12.5938 Å
α = 90.00°, β = 90.00°, γ = 120.00°
Space group R-3m (No. 166, hexagonal axes)
Unique sites:
Rb (0.0000, 0.0000, 0.0000) (multiplicity 3)
P (0.0000, 0.0000, 0.5000) (multiplicity 3)